! PBE-GGA SrGePt, optimized geometry; values from VASP
! Crystal system: cubic
! Space-group type: P2_13 (198)
&SYSTEM
  ibrav = 0, nat = 12, ntyp = 3
/
ATOMIC_SPECIES
Sr 87.62 Sr.upf
Ge 72.64 Ge.upf
Pt 195.08 Pt.upf
CELL_PARAMETERS angstrom
-5.7318 -1.9975 2.8178
-0.6636 -4.7209 -4.6965
3.3897 -4.3020 3.8454
ATOMIC_POSITIONS angstrom
Sr -0.4083 -1.4970 0.2672
Sr -0.5054 -7.5424 -0.5873
Sr -0.9569 -6.7069 3.4044
Sr -4.1407 -6.2945 0.8492
Ge 1.0853 -4.7727 1.4542
Ge -1.7981 -4.5217 -1.5465
Ge -2.7903 -3.5496 2.3844
Ge -2.5083 -9.1968 1.6413
Pt -3.6682 -5.8500 -2.3492
Pt -3.3383 -4.7289 4.4374
Pt 2.2496 -6.8620 1.0243
Pt -1.2546 -4.5999 0.8209

! PBE-GGA TbGePt, optimized geometry; values from VASP
! Crystal system: orthorhombic
! Space-group type: Pnma (62)
&SYSTEM
  ibrav = 0, nat = 12, ntyp = 3
/
ATOMIC_SPECIES
Tb 158.93 Tb.upf
Ge 72.64 Ge.upf
Pt 195.08 Pt.upf
CELL_PARAMETERS angstrom
4.3872 0.0000 0.0000
0.0000 7.0859 0.0000
0.0000 0.0000 7.6726
ATOMIC_POSITIONS angstrom
Tb 3.2904 3.5708 6.1128
Tb 1.0968 7.0581 2.2765
Tb 3.2904 0.0278 5.3961
Tb 1.0968 3.5151 1.5598
Ge 1.0968 5.7532 7.0026
Ge 1.0968 2.2103 4.5063
Ge 3.2904 1.3327 0.6700
Ge 3.2904 4.8756 3.1663
Pt 1.0968 4.9968 4.4967
Pt 1.0968 1.4538 7.0122
Pt 3.2904 5.6321 0.6604
Pt 3.2904 2.0891 3.1759

! PBE-GGA Tb2Ge3Pt9, optimized geometry; values from VASP
! Crystal system: monoclinic
! Space-group type: C2/c (15)
&SYSTEM
  ibrav = 0, nat = 28, ntyp = 3
/
ATOMIC_SPECIES
Tb 158.93 Tb.upf
Ge 72.64 Ge.upf
Pt 195.08 Pt.upf
CELL_PARAMETERS angstrom
-0.0192 -7.4918 -2.3295
5.0625 -5.0913 3.1628
-4.3181 -6.2413 6.7231
ATOMIC_POSITIONS angstrom
Tb 1.0153 -5.5204 2.4291
Tb -0.2901 -13.3040 5.1273
Tb -2.0077 -9.0492 4.8569
Tb 2.7330 -9.7752 2.6995
Ge 1.0832 -7.7186 4.9408
Ge -3.3986 -11.9364 5.7920
Ge 2.5313 -2.5457 1.5814
Ge -0.3579 -11.1058 2.6156
Ge 4.1239 -6.8880 1.7644
Ge -2.1686 -6.8665 2.1968
Pt 3.3073 -6.9708 4.1132
Pt -1.3436 -11.1051 7.0163
Pt 0.3651 -15.3280 7.2833
Pt -0.6205 -7.2217 0.2597
Pt 1.6909 -12.6010 3.0211
Pt 3.6901 -11.8639 0.7637
Pt 0.3602 -3.4964 0.2731
Pt 2.0689 -7.7193 0.5401
Pt 0.3674 -9.9641 0.5443
Pt 0.3578 -8.8603 7.0121
Pt 2.4416 -14.5544 5.1094
Pt -0.0157 -8.3771 2.7564
Pt -0.9656 -6.2234 4.5353
Pt 1.3457 -11.6027 7.2967
Pt -2.9649 -6.9605 6.7927
Pt -2.5820 -11.8535 3.4432
Pt 0.7410 -10.4473 4.8000
Pt -1.7163 -4.2700 2.4470

! PBE-GGA TbGe2Pt2, optimized geometry; values from VASP
! Crystal system: orthorhombic
! Space-group type: Pmn2_1 (31)
&SYSTEM
  ibrav = 0, nat = 10, ntyp = 3
/
ATOMIC_SPECIES
Tb 158.93 Tb.upf
Ge 72.64 Ge.upf
Pt 195.08 Pt.upf
CELL_PARAMETERS angstrom
-1.4312 -0.7627 -3.9981
-3.6008 -1.7974 1.6319
-4.5128 8.9558 -0.0931
ATOMIC_POSITIONS angstrom
Tb -3.7363 6.5096 -1.0741
Tb -4.0116 0.7828 -2.2109
Ge -0.9260 1.0205 -0.9191
Ge -6.7519 6.3092 -2.1705
Ge -4.4339 3.3563 -0.3083
Ge -3.3665 3.9081 -3.1236
Pt -2.0780 3.1496 -1.1160
Pt -5.7247 4.1136 -2.3224
Pt -6.6331 7.8777 -0.1807
Pt -1.0425 -0.5468 -2.9026

! PBE-GGA ThGe2Pt2, optimized geometry; values from VASP
! Crystal system: tetragonal
! Space-group type: I4/mmm (139)
&SYSTEM
  ibrav = 0, nat = 5, ntyp = 3
/
ATOMIC_SPECIES
Th 232.04 Th.upf
Ge 72.64 Ge.upf
Pt 195.08 Pt.upf
CELL_PARAMETERS angstrom
-3.2064 -4.1494 2.7027
-3.0838 1.7602 4.7111
0.7175 1.8709 -5.5486
ATOMIC_POSITIONS angstrom
Th 0.0000 0.0000 0.0000
Ge -3.9221 -1.4898 4.6227
Ge -2.3681 -0.8995 2.7911
Pt -2.8170 -1.7365 0.4304
Pt -2.7557 1.2182 1.4347

! PBE-GGA ThGe2Pt2, optimized geometry; values from VASP
! Crystal system: tetragonal
! Space-group type: P4/nmm (129)
&SYSTEM
  ibrav = 0, nat = 10, ntyp = 3
/
ATOMIC_SPECIES
Th 232.04 Th.upf
Ge 72.64 Ge.upf
Pt 195.08 Pt.upf
CELL_PARAMETERS angstrom
-2.3534 3.6096 -0.7121
0.4530 -0.5546 -4.3084
-8.5189 -5.5890 -0.1763
ATOMIC_POSITIONS angstrom
Th -1.8621 -1.6476 -2.1974
Th -7.6070 -2.4139 -0.4891
Ge -4.2595 -2.7945 -0.0881
Ge -5.2097 -1.2670 -2.5984
Ge -7.1501 -5.1169 -2.3068
Ge -2.3190 1.0554 -0.3797
Pt 0.0000 0.0000 0.0000
Pt -0.9502 1.5275 -2.5102
Pt -5.0953 -3.7688 -2.2643
Pt -4.3739 -0.2928 -0.4222

! PBE-GGA TmGe2Pt, optimized geometry; values from VASP
! Crystal system: orthorhombic
! Space-group type: Immm (71)
&SYSTEM
  ibrav = 0, nat = 16, ntyp = 3
/
ATOMIC_SPECIES
Tm 168.93 Tm.upf
Ge 72.64 Ge.upf
Pt 195.08 Pt.upf
CELL_PARAMETERS angstrom
-4.3356 0.0000 0.0000
0.0000 0.0000 -8.7692
2.1678 -8.1375 4.3846
ATOMIC_POSITIONS angstrom
Tm 0.0000 0.0000 -2.3108
Tm 0.0000 0.0000 -6.4583
Tm -2.1678 -4.8324 0.0000
Tm 0.0000 -3.3051 -4.3846
Ge 0.0000 -6.9363 -4.3846
Ge -2.1678 -1.2012 0.0000
Ge 0.0000 -6.9286 0.0000
Ge -2.1678 -1.2089 -4.3846
Ge 0.0000 -3.2460 1.3216
Ge -2.1678 -4.8915 -5.7061
Ge 0.0000 -3.2460 -1.3216
Ge -2.1678 -4.8915 -3.0630
Pt 0.0000 -5.7396 2.1883
Pt -2.1678 -2.3979 -6.5729
Pt 0.0000 -5.7396 -2.1883
Pt -2.1678 -2.3979 -2.1963

! PBE-GGA Y3Ge13Pt4, optimized geometry; values from VASP
! Crystal system: monoclinic
! Space-group type: Cc (9)
&SYSTEM
  ibrav = 0, nat = 40, ntyp = 3
/
ATOMIC_SPECIES
Y 88.91 Y.upf
Ge 72.64 Ge.upf
Pt 195.08 Pt.upf
CELL_PARAMETERS angstrom
6.4376 6.4455 0.0000
-6.4376 6.4455 0.0000
0.0000 0.0792 9.1701
ATOMIC_POSITIONS angstrom
Y -0.0032 0.0473 4.5894
Y 0.0032 0.0077 0.0043
Y 1.5975 8.0844 6.8671
Y -1.5975 8.0448 2.2821
Y -1.5745 4.9462 6.8814
Y 1.5745 4.9066 2.2964
Ge 3.1477 3.3028 6.9093
Ge -3.1477 3.2632 2.3242
Ge -0.1713 2.1327 6.9084
Ge 0.1713 2.0931 2.3234
Ge 4.3763 6.5876 6.8859
Ge -4.3763 6.5480 2.3008
Ge -1.1538 7.6823 5.6135
Ge 1.1538 7.6427 1.0284
Ge -2.4656 2.5627 4.7191
Ge 2.4656 2.5232 0.1341
Ge -4.3120 4.3664 5.5335
Ge 4.3120 4.3268 0.9484
Ge -1.5378 4.9725 1.3030
Ge 1.5378 5.0120 5.8881
Ge -4.2876 4.3822 8.2575
Ge 4.2876 4.3426 3.6724
Ge -4.2507 7.1506 6.8848
Ge 4.2507 7.1110 2.2998
Ge 3.9411 8.9884 9.0398
Ge -3.9411 8.9488 4.4548
Ge -1.0440 7.5847 8.3759
Ge 1.0440 7.5452 3.7908
Ge -0.8941 10.6178 6.8887
Ge 0.8941 10.5782 2.3036
Ge -0.9306 5.5061 3.8583
Ge 0.9306 5.5457 8.4434
Pt 3.2160 6.4546 0.0187
Pt -3.2160 6.4942 4.6038
Pt 3.2101 6.5006 4.5943
Pt -3.2101 6.4611 0.0092
Pt -0.0151 9.7749 4.5857
Pt 0.0151 9.7353 0.0006
Pt 0.0262 3.2645 4.6322
Pt -0.0262 3.2249 0.0471

One value per record, in order, for electronic total energy: -5.025; -6.238; -6.331; -6.072; -6.577; -6.681; -5.770; -5.705 eV per atom.